{
  "formula": "Os",
  "functional": "r2SCAN",
  "state": "optimized geometry",
  "lattice_angstrom": [[2.7461, 0.0000, 0.0000], [-1.3731, 2.3782, 0.0000], [0.0000, 0.0000, 4.3263]],
  "species": ["Os", "Os"],
  "fractional_positions": [[0.3333, 0.6667, 0.2500], [0.6667, 0.3333, 0.7500]],
  "volume_a3_per_atom": 14.13,
  "formation_energy_ev_per_atom": 0.000
}



{
  "formula": "Os",
  "functional": "r2SCAN",
  "state": "optimized geometry",
  "lattice_angstrom": [[0.0000, 1.9220, 1.9220], [1.9220, 0.0000, 1.9220], [1.9220, 1.9220, 0.0000]],
  "species": ["Os"],
  "fractional_positions": [[0.0000, 0.0000, 0.0000]],
  "volume_a3_per_atom": 14.20,
  "formation_energy_ev_per_atom": 0.165
}



{
  "formula": "P4Os",
  "functional": "r2SCAN",
  "state": "optimized geometry",
  "lattice_angstrom": [[4.7000, 0.0000, 0.0000], [0.0000, 4.6888, 0.0000], [-1.1900, 0.0000, 7.0189]],
  "species": ["P", "P", "P", "P", "P", "P", "P", "P", "Os", "Os"],
  "fractional_positions": [[0.1215, 0.1513, 0.4106], [0.1215, 0.3487, 0.9106], [0.2830, 0.6898, 0.7515], [0.2830, 0.8102, 0.2515], [0.7170, 0.1898, 0.7485], [0.7170, 0.3102, 0.2485], [0.8785, 0.6513, 0.0894], [0.8785, 0.8487, 0.5894], [0.5000, 0.0000, 0.0000], [0.5000, 0.5000, 0.5000]],
  "volume_a3_per_atom": 15.47,
  "formation_energy_ev_per_atom": -0.444
}



{
  "formula": "P4Os",
  "functional": "r2SCAN",
  "state": "optimized geometry",
  "lattice_angstrom": [[4.7301, 0.0000, 0.0000], [-1.2980, 7.0516, 0.0000], [-0.0477, -2.7917, 7.0226]],
  "species": ["P", "P", "P", "P", "P", "P", "P", "P", "P", "P", "P", "P", "Os", "Os", "Os"],
  "fractional_positions": [[0.0988, 0.3665, 0.3997], [0.1081, 0.8296, 0.2686], [0.1585, 0.0858, 0.9387], [0.2270, 0.5729, 0.0493], [0.2936, 0.2962, 0.6233], [0.3205, 0.8385, 0.7152], [0.6795, 0.1615, 0.2848], [0.7064, 0.7038, 0.3767], [0.7730, 0.4271, 0.9507], [0.8415, 0.9142, 0.0613], [0.8919, 0.1704, 0.7314], [0.9012, 0.6335, 0.6003], [0.4408, 0.3718, 0.1716], [0.5000, 0.0000, 0.5000], [0.5592, 0.6282, 0.8284]],
  "volume_a3_per_atom": 15.62,
  "formation_energy_ev_per_atom": -0.461
}



Number 1: energy above the lowest structure with this stoichiometry 0.0 meV/atom. Number 2: energy above the lowest structure with this stoichiometry 164.9 meV/atom. Number 3: energy above the lowest structure with this stoichiometry 17.0 meV/atom. Number 4: energy above the lowest structure with this stoichiometry 0.0 meV/atom.